Compound: Sc6Ni18Ge11
Source: Materials Project
Functional: PBE-GGA
Structure: relaxed

Space-group type: Immm, No. 71
Energy of formation from the pure elements, eV per atom: -0.5882

Cell: 11.8534 11.8534 11.8534 Å, 139.53 116.27 78.26°
Atoms (fractional coordinates):
Ni: 0.7865 0.8861 0.9005
Ni: 0.2445 0.5768 0.6677
Ni: 0.4370 0.3672 0.6322
Ge: 0.3246 0.4234 0.4345
Ge: 0.6692 0.8462 0.1770
Ge: 0.6782 0.5000 0.1782
Ni: 0.5646 0.3836 0.5126
Sc: 0.3700 0.8700 0.5000
Ge: 0.0000 0.5000 0.5000
Ni: 0.8710 0.0520 0.4874
Ge: 0.5000 0.2308 0.7308
Ni: 0.4370 0.8048 0.0698
Ni: 0.5672 0.5672 0.0000
Ni: 0.2135 0.1139 0.0995
Ge: 0.0111 0.1099 0.4345
Ni: 0.5646 0.0520 0.1810
Sc: 0.4637 0.2809 0.1828
Ni: 0.7350 0.3672 0.9302
Ge: 0.9889 0.8901 0.5655
Ge: 0.3218 0.5000 0.8218
Ni: 0.7921 0.6283 0.8362
Ni: 0.6179 0.0000 0.6179
Ge: 0.6692 0.4922 0.8230
Sc: 0.0981 0.2809 0.8172
Ni: 0.5630 0.6328 0.3678
Ni: 0.2079 0.3717 0.1638
Ni: 0.9241 0.6576 0.7335
Ni: 0.2650 0.1952 0.6322
Ge: 0.1713 0.8860 0.2853
Ge: 0.3994 0.1140 0.2853
Sc: 0.1818 0.2045 0.3863
Ni: 0.4354 0.9480 0.8190
Sc: 0.5363 0.7191 0.8172
Ge: 0.3246 0.8901 0.9012
Ni: 0.2650 0.6328 0.0698
Ni: 0.1290 0.9480 0.5126
Ni: 0.3821 0.0000 0.3821
Ge: 0.6754 0.5766 0.5655
Sc: 0.9019 0.7191 0.1828
Ni: 0.1290 0.6164 0.1810
Ge: 0.5000 0.7692 0.2692
Ge: 0.6754 0.1099 0.0988
Ni: 0.4354 0.6164 0.4874
Sc: 0.8097 0.3097 0.5000
Ge: 0.6006 0.8860 0.7147
Ni: 0.8710 0.3836 0.8190
Sc: 0.8182 0.2045 0.0227
Ni: 0.0144 0.1139 0.9005
Ge: 0.3308 0.5078 0.1770
Ni: 0.7350 0.8048 0.3678
Ni: 0.9091 0.5768 0.3323
Sc: 0.1903 0.6903 0.5000
Ge: 0.0111 0.5766 0.9012
Sc: 0.1818 0.7955 0.9773
Sc: 0.6300 0.1300 0.5000
Ni: 0.0759 0.3424 0.2665
Ni: 0.7555 0.4232 0.3323
Ni: 0.0909 0.4232 0.6677
Ni: 0.4328 0.4328 0.0000
Ge: 0.3308 0.1538 0.8230
Ni: 0.0759 0.8094 0.7335
Sc: 0.8182 0.7955 0.6137
Ge: 0.0000 0.0000 0.0000
Ni: 0.9241 0.1906 0.2665
Ni: 0.9856 0.8861 0.0995
Ni: 0.2079 0.0440 0.8362
Ni: 0.5630 0.1952 0.9302
Ge: 0.9889 0.4234 0.0988
Ni: 0.7921 0.9560 0.1638
Ge: 0.8287 0.1140 0.7147



Compound: Na3CaZnPS2O12
Source: Materials Project
Functional: PBE-GGA
Structure: relaxed

Space-group type: P1, No. 1
Energy of formation from the pure elements, eV per atom: -2.3710

Cell: 9.1995 9.1948 22.6483 Å, 89.52 89.87 119.93°
Atoms (fractional coordinates):
P: 0.6971 0.0091 0.7462
O: 0.1411 0.6496 0.0896
O: 0.5227 0.8683 0.0860
O: 0.8841 0.3435 0.6401
P: 0.9630 0.6356 0.0884
Na: 0.0071 0.9899 0.0026
Na: 0.0259 0.3367 0.0898
O: 0.1846 0.1707 0.0938
O: 0.8689 0.3039 0.5339
O: 0.8594 0.3522 0.9196
S: 0.3259 0.3643 0.4137
O: 0.1458 0.6802 0.7493
O: 0.2171 0.0209 0.3074
O: 0.3167 0.8366 0.2549
Na: 0.2909 0.9592 0.0863
O: 0.3308 0.4724 0.7458
Zn: 0.3387 0.6798 0.3197
Na: 0.9832 0.9904 0.4994
Na: 0.9824 0.6757 0.9235
Na: 0.3369 0.0302 0.4069
O: 0.8065 0.8262 0.9142
O: 0.3183 0.8693 0.9731
Na: 0.3371 0.6583 0.1710
Ca: 0.6779 0.3363 0.4834
O: 0.5465 0.6744 0.9653
O: 0.1176 0.4372 0.9751
S: 0.7034 0.7039 0.2517
S: 0.3612 0.0359 0.5865
O: 0.8172 0.9790 0.4048
O: 0.2097 0.2173 0.6893
O: 0.3482 0.8847 0.8605
Na: 0.3727 0.0035 0.7511
P: 0.6718 0.6352 0.5862
O: 0.8613 0.5294 0.4138
O: 0.7914 0.9881 0.6930
O: 0.4849 0.3539 0.4143
P: 0.3332 0.9733 0.9165
O: 0.0213 0.8147 0.6979
O: 0.8664 0.5205 0.1422
O: 0.1395 0.4751 0.5835
Ca: 0.3363 0.6691 0.5151
O: 0.3339 0.4729 0.0865
Zn: 0.6558 0.3370 0.1819
Na: 0.6698 0.9604 0.5865
O: 0.6935 0.5378 0.2452
O: 0.2272 0.2004 0.7960
Zn: 0.0062 0.0126 0.3438
S: 0.6399 0.6671 0.9139
O: 0.1929 0.9738 0.1955
Na: 0.6843 0.0268 0.9094
O: 0.5672 0.8640 0.4694
O: 0.9912 0.8178 0.0922
O: 0.6717 0.5245 0.9166
O: 0.4841 0.1545 0.2452
O: 0.5331 0.6852 0.2560
O: 0.6483 0.1389 0.4144
Ca: 0.3355 0.6677 0.0189
O: 0.4305 0.3020 0.0351
O: 0.8760 0.5619 0.0293
S: 0.9941 0.6978 0.7479
O: 0.3420 0.4768 0.3640
S: 0.6758 0.0367 0.0886
O: 0.4698 0.1214 0.6380
P: 0.6427 0.9675 0.4116
O: 0.8044 0.7792 0.3059
O: 0.0254 0.8318 0.4084
O: 0.4792 0.3176 0.7410
O: 0.1346 0.6867 0.4631
S: 0.0266 0.3601 0.9197
O: 0.8390 0.5332 0.7419
O: 0.3469 0.8677 0.5833
Zn: 0.0024 0.9801 0.1562
S: 0.3079 0.3005 0.7426
O: 0.7863 0.0243 0.8052
Na: 0.6380 0.6435 0.7411
O: 0.8308 0.0262 0.0945
S: 0.0355 0.6734 0.4105
Ca: 0.0044 0.0120 0.8457
Ca: 0.6584 0.3369 0.9879
O: 0.1823 0.1914 0.4088
O: 0.8454 0.3152 0.2460
O: 0.5501 0.6539 0.8583
O: 0.7848 0.8171 0.1999
O: 0.4600 0.3410 0.1414
Na: 0.3106 0.3369 0.5880
O: 0.8256 0.8174 0.5895
Ca: 0.3314 0.6649 0.8157
O: 0.1693 0.9820 0.9151
O: 0.6533 0.5230 0.6408
O: 0.6845 0.5576 0.5278
O: 0.6961 0.1326 0.0328
S: 0.0009 0.2984 0.2479
O: 0.9757 0.1887 0.2997
P: 0.3013 0.0013 0.2511
O: 0.9878 0.1732 0.5908
O: 0.1186 0.4607 0.8681
Zn: 0.9793 0.9823 0.6523
Na: 0.6283 0.0001 0.2532
O: 0.5272 0.8767 0.3578
O: 0.3087 0.4325 0.4710
Na: 0.6587 0.3199 0.3297
Zn: 0.6799 0.3378 0.6790
O: 0.5081 0.6499 0.5872
O: 0.0188 0.2219 0.1929
O: 0.9741 0.7694 0.8041
Na: 0.0070 0.6391 0.2454
S: 0.9686 0.3264 0.5874
O: 0.4976 0.1456 0.9176
O: 0.4385 0.1335 0.5311
Na: 0.6975 0.6768 0.4193
O: 0.6686 0.1627 0.7403
S: 0.3561 0.3241 0.0896
O: 0.5198 0.8452 0.7458
O: 0.9956 0.1861 0.9177
O: 0.1147 0.6535 0.3563
Na: 0.6604 0.3169 0.8309
Na: 0.3243 0.6621 0.6662
O: 0.1949 0.0243 0.5920
O: 0.6513 0.1238 0.1397
O: 0.1490 0.4703 0.2537



- Which value of energy of formation from the pure elements does entry 1 give?
  -0.5882 eV per atom